Eu2CdHg PBE-GGA relaxed; space group = No. 225; E = -23.56 eV for the cell shown; formation enthalpy at 0 K = -0.454 eV/atom
1.0
0.0000 3.9458 3.9458
3.9458 0.0000 3.9458
3.9458 3.9458 0.0000
Eu Cd Hg
2 1 1
Cartesian
1.9729 1.9729 1.9729
5.9186 5.9186 5.9186
0.0000 0.0000 0.0000
3.9458 3.9458 3.9458